No. 1
DFT (GGA-PBE) results for a geometry-optimized Sr4MgTi3O10 structure.

a = 15.363 Å, b = 15.363 Å, c = 15.363 Å
α = 165.07°, β = 165.07°, γ = 21.17°
Fractional positions:
Sr: 0.093 0.093 0.000
Sr: 0.207 0.207 0.000
Sr: 0.793 0.793 0.000
Sr: 0.907 0.907 0.000
Mg: 0.000 0.000 0.000
Ti: 0.354 0.354 0.000
Ti: 0.500 0.500 0.000
Ti: 0.646 0.646 0.000
O: 0.000 0.500 0.500
O: 0.145 0.645 0.500
O: 0.288 0.288 0.000
O: 0.355 0.855 0.500
O: 0.427 0.427 0.000
O: 0.500 0.000 0.500
O: 0.573 0.573 0.000
O: 0.645 0.145 0.500
O: 0.712 0.712 0.000
O: 0.855 0.355 0.500

Values from the calculation:
E	-7.27	eV per atom
calculated volume	240.6	Å³/f.u.
polymorph energy (0 for the lowest one)	0.121	eV/atom
calculated formation energy	-3122	meV/atom

No. 2
DFT (GGA-PBE) results for a geometry-optimized Sr4MgTi3O10 structure.

a = 3.947 Å, b = 3.966 Å, c = 16.328 Å
α = 93.81°, β = 90.03°, γ = 90.03°
Fractional positions:
Sr: 0.000 0.000 0.000
Sr: 0.002 0.128 0.473
Sr: 0.503 0.461 0.832
Sr: 0.998 0.060 0.230
Mg: 0.504 0.718 0.604
Ti: 0.004 0.951 0.728
Ti: 0.499 0.530 0.107
Ti: 0.500 0.593 0.353
O: 0.000 0.534 0.116
O: 0.001 0.607 0.369
O: 0.002 0.941 0.851
O: 0.003 0.847 0.605
O: 0.004 0.408 0.733
O: 0.500 0.034 0.115
O: 0.501 0.106 0.364
O: 0.501 0.572 0.238
O: 0.502 0.500 0.991
O: 0.503 0.899 0.724

Values from the calculation:
E	-7.39	eV per atom
calculated volume	255.0	Å³/f.u.
polymorph energy (0 for the lowest one)	0.000	eV/atom
calculated formation energy	-3243	meV/atom

No. 3
DFT (GGA-PBE) results for a geometry-optimized Sr4MgTi3O10 structure.

a = 3.866 Å, b = 3.866 Å, c = 18.553 Å
α = 95.65°, β = 95.65°, γ = 89.85°
Fractional positions:
Sr: 0.000 0.000 0.000
Sr: 0.549 0.549 0.149
Sr: 0.797 0.797 0.568
Sr: 0.902 0.902 0.790
Mg: 0.697 0.697 0.359
Ti: 0.233 0.233 0.437
Ti: 0.347 0.347 0.675
Ti: 0.454 0.454 0.901
O: 0.087 0.087 0.127
O: 0.221 0.721 0.411
O: 0.281 0.281 0.535
O: 0.339 0.839 0.658
O: 0.394 0.394 0.774
O: 0.447 0.948 0.888
O: 0.503 0.503 0.002
O: 0.721 0.221 0.411
O: 0.839 0.339 0.658
O: 0.948 0.447 0.888

Values from the calculation:
E	-7.37	eV per atom
calculated volume	274.7	Å³/f.u.
polymorph energy (0 for the lowest one)	0.018	eV/atom
calculated formation energy	-3224	meV/atom

No. 4
DFT (GGA-PBE) results for a geometry-optimized Sr2MgTi2O6 structure.

a = 5.667 Å, b = 5.667 Å, c = 5.950 Å
α = 117.71°, β = 117.71°, γ = 89.91°
Fractional positions:
Sr: 0.168 0.168 0.371
Sr: 0.832 0.832 0.629
Mg: 0.500 0.500 0.000
Ti: 0.000 0.500 0.000
Ti: 0.500 0.000 0.000
O: 0.229 0.771 0.500
O: 0.253 0.747 0.000
O: 0.265 0.265 0.025
O: 0.735 0.735 0.975
O: 0.747 0.253 0.000
O: 0.771 0.229 0.500

Values from the calculation:
E	-7.12	eV per atom
calculated volume	144.0	Å³/f.u.
polymorph energy (0 for the lowest one)	0.136	eV/atom
calculated formation energy	-2905	meV/atom

No. 5
DFT (GGA-PBE) results for a geometry-optimized Sr2MgTi2O6 structure.

a = 5.688 Å, b = 5.809 Å, c = 6.218 Å
α = 68.02°, β = 66.13°, γ = 60.74°
Fractional positions:
Sr: 0.000 0.000 0.000
Sr: 0.410 0.392 0.630
Mg: 0.611 0.658 0.082
Ti: 0.172 0.237 0.306
Ti: 0.738 0.777 0.548
O: 0.328 0.506 0.219
O: 0.342 0.991 0.578
O: 0.410 0.063 0.040
O: 0.794 0.570 0.331
O: 0.885 0.037 0.442
O: 0.898 0.501 0.802

Values from the calculation:
E	-7.25	eV per atom
calculated volume	159.8	Å³/f.u.
polymorph energy (0 for the lowest one)	0.000	eV/atom
calculated formation energy	-3041	meV/atom

No. 6
DFT (GGA-PBE) results for a geometry-optimized SrMgTiO3 structure.

a = 3.939 Å, b = 3.939 Å, c = 6.419 Å
α = 90.00°, β = 90.00°, γ = 90.00°
Fractional positions:
Sr: 0.000 0.000 0.000
Mg: 0.000 0.000 0.500
Ti: 0.500 0.500 0.500
O: 0.000 0.500 0.500
O: 0.500 0.000 0.500
O: 0.500 0.500 0.000

Values from the calculation:
E	-6.26	eV per atom
calculated volume	99.6	Å³/f.u.
calculated formation energy	-2262	meV/atom

No. 7
DFT (GGA-PBE) results for a geometry-optimized Sr4Tm8MgO16 structure.

a = 10.748 Å, b = 3.354 Å, c = 12.158 Å
α = 90.00°, β = 95.02°, γ = 90.00°
Fractional positions:
Sr: 0.000 0.000 0.000
Sr: 0.037 0.500 0.508
Sr: 0.531 0.500 0.238
Sr: 0.575 0.000 0.724
Tm: 0.181 0.500 0.281
Tm: 0.220 0.500 0.763
Tm: 0.285 0.000 0.070
Tm: 0.347 0.000 0.540
Tm: 0.712 0.500 0.004
Tm: 0.715 0.500 0.510
Tm: 0.843 0.000 0.243
Tm: 0.881 0.000 0.740
Mg: 0.467 0.000 0.939
O: 0.010 0.500 0.800
O: 0.048 0.000 0.320
O: 0.154 0.500 0.091
O: 0.170 0.000 0.637
O: 0.260 0.500 0.449
O: 0.273 0.000 0.881
O: 0.325 0.000 0.248
O: 0.397 0.500 0.664
O: 0.421 0.500 0.052
O: 0.574 0.000 0.504
O: 0.660 0.000 0.131
O: 0.740 0.500 0.696
O: 0.763 0.500 0.335
O: 0.796 0.000 0.910
O: 0.868 0.000 0.551
O: 0.885 0.500 0.120

Values from the calculation:
E	-7.40	eV per atom
calculated volume	436.6	Å³/f.u.
calculated formation energy	-3530	meV/atom

No. 8
DFT (GGA-PBE) results for a geometry-optimized Sr2MgUO6 structure.

a = 5.851 Å, b = 5.876 Å, c = 10.097 Å
α = 90.00°, β = 125.11°, γ = 90.00°
Fractional positions:
Sr: 0.239 0.032 0.248
Sr: 0.239 0.468 0.748
Sr: 0.761 0.532 0.252
Sr: 0.761 0.968 0.752
Mg: 0.000 0.000 0.500
Mg: 0.000 0.500 0.000
U: 0.500 0.000 0.000
U: 0.500 0.500 0.500
O: 0.180 0.215 0.960
O: 0.180 0.285 0.460
O: 0.241 0.721 0.956
O: 0.241 0.779 0.456
O: 0.332 0.019 0.753
O: 0.332 0.481 0.253
O: 0.668 0.519 0.747
O: 0.668 0.981 0.247
O: 0.759 0.221 0.544
O: 0.759 0.279 0.044
O: 0.820 0.715 0.540
O: 0.820 0.785 0.040

Values from the calculation:
E	-7.67	eV per atom
calculated volume	142.0	Å³/f.u.
calculated formation energy	-3483	meV/atom

No. 9
DFT (GGA-PBE) results for a geometry-optimized SrYMg6O8 structure.

a = 4.613 Å, b = 4.613 Å, c = 9.185 Å
α = 90.00°, β = 90.00°, γ = 90.00°
Fractional positions:
Sr: 0.000 0.000 0.000
Y: 0.000 0.000 0.500
Mg: 0.000 0.500 0.246
Mg: 0.000 0.500 0.754
Mg: 0.500 0.000 0.246
Mg: 0.500 0.000 0.754
Mg: 0.500 0.500 0.000
Mg: 0.500 0.500 0.500
O: 0.000 0.000 0.261
O: 0.000 0.000 0.739
O: 0.000 0.500 0.000
O: 0.000 0.500 0.500
O: 0.500 0.000 0.000
O: 0.500 0.000 0.500
O: 0.500 0.500 0.251
O: 0.500 0.500 0.749

Values from the calculation:
E	-6.04	eV per atom
calculated volume	195.5	Å³/f.u.
polymorph energy (0 for the lowest one)	0.047	eV/atom
calculated formation energy	-2798	meV/atom

No. 10
DFT (GGA-PBE) results for a geometry-optimized SrYMg6O8 structure.

a = 4.623 Å, b = 4.623 Å, c = 8.986 Å
α = 90.00°, β = 90.00°, γ = 90.00°
Fractional positions:
Sr: 0.000 0.000 0.000
Y: 0.500 0.500 0.000
Mg: 0.000 0.000 0.500
Mg: 0.000 0.500 0.273
Mg: 0.000 0.500 0.727
Mg: 0.500 0.000 0.273
Mg: 0.500 0.000 0.727
Mg: 0.500 0.500 0.500
O: 0.000 0.000 0.275
O: 0.000 0.000 0.725
O: 0.000 0.500 0.000
O: 0.000 0.500 0.500
O: 0.500 0.000 0.000
O: 0.500 0.000 0.500
O: 0.500 0.500 0.261
O: 0.500 0.500 0.739

Values from the calculation:
E	-6.09	eV per atom
calculated volume	192.0	Å³/f.u.
polymorph energy (0 for the lowest one)	0.000	eV/atom
calculated formation energy	-2846	meV/atom

No. 11
DFT (GGA-PBE) results for a geometry-optimized SrMg14ZnO16 structure.

a = 8.652 Å, b = 8.652 Å, c = 4.402 Å
α = 90.00°, β = 90.00°, γ = 90.00°
Fractional positions:
Sr: 0.000 0.000 0.000
Mg: 0.000 0.260 0.500
Mg: 0.000 0.500 0.000
Mg: 0.000 0.740 0.500
Mg: 0.251 0.500 0.500
Mg: 0.256 0.256 0.000
Mg: 0.256 0.744 0.000
Mg: 0.260 0.000 0.500
Mg: 0.500 0.000 0.000
Mg: 0.500 0.251 0.500
Mg: 0.500 0.749 0.500
Mg: 0.740 0.000 0.500
Mg: 0.744 0.256 0.000
Mg: 0.744 0.744 0.000
Mg: 0.749 0.500 0.500
Zn: 0.500 0.500 0.000
O: 0.000 0.000 0.500
O: 0.000 0.271 0.000
O: 0.000 0.500 0.500
O: 0.000 0.729 0.000
O: 0.250 0.250 0.500
O: 0.250 0.750 0.500
O: 0.251 0.500 0.000
O: 0.271 0.000 0.000
O: 0.500 0.000 0.500
O: 0.500 0.251 0.000
O: 0.500 0.500 0.500
O: 0.500 0.749 0.000
O: 0.729 0.000 0.000
O: 0.749 0.500 0.000
O: 0.750 0.250 0.500
O: 0.750 0.750 0.500

Values from the calculation:
E	-5.81	eV per atom
calculated volume	329.5	Å³/f.u.
calculated formation energy	-2882	meV/atom

No. 12
DFT (GGA-PBE) results for a geometry-optimized SrMg14ZnO16 structure.

a = 4.403 Å, b = 8.613 Å, c = 8.695 Å
α = 90.00°, β = 90.00°, γ = 90.00°
Fractional positions:
Sr: 0.000 0.000 0.000
Mg: 0.000 0.000 0.500
Mg: 0.000 0.256 0.257
Mg: 0.000 0.256 0.743
Mg: 0.000 0.500 0.500
Mg: 0.000 0.744 0.257
Mg: 0.000 0.744 0.743
Mg: 0.500 0.000 0.259
Mg: 0.500 0.000 0.741
Mg: 0.500 0.251 0.500
Mg: 0.500 0.260 0.000
Mg: 0.500 0.500 0.251
Mg: 0.500 0.500 0.749
Mg: 0.500 0.740 0.000
Mg: 0.500 0.749 0.500
Zn: 0.000 0.500 0.000
O: 0.000 0.000 0.271
O: 0.000 0.000 0.729
O: 0.000 0.253 0.500
O: 0.000 0.271 0.000
O: 0.000 0.500 0.261
O: 0.000 0.500 0.739
O: 0.000 0.729 0.000
O: 0.000 0.747 0.500
O: 0.500 0.000 0.000
O: 0.500 0.000 0.500
O: 0.500 0.250 0.250
O: 0.500 0.250 0.750
O: 0.500 0.500 0.000
O: 0.500 0.500 0.500
O: 0.500 0.750 0.250
O: 0.500 0.750 0.750

Values from the calculation:
E	-5.81	eV per atom
calculated volume	329.8	Å³/f.u.
calculated formation energy	-2883	meV/atom

No. 13
DFT (GGA-PBE) results for a geometry-optimized Mg2TaTiO6 structure.

a = 5.214 Å, b = 7.634 Å, c = 5.405 Å
α = 90.00°, β = 90.11°, γ = 90.00°
Fractional positions:
Mg: 0.005 0.250 0.458
Mg: 0.486 0.250 0.935
Mg: 0.514 0.750 0.065
Mg: 0.995 0.750 0.542
Ta: 0.000 0.000 0.000
Ta: 0.000 0.500 0.000
Ti: 0.500 0.000 0.500
Ti: 0.500 0.500 0.500
O: 0.133 0.750 0.940
O: 0.176 0.068 0.689
O: 0.176 0.432 0.689
O: 0.317 0.069 0.184
O: 0.317 0.431 0.184
O: 0.374 0.750 0.436
O: 0.626 0.250 0.564
O: 0.683 0.569 0.816
O: 0.683 0.931 0.816
O: 0.824 0.568 0.311
O: 0.824 0.932 0.311
O: 0.867 0.250 0.060

Values from the calculation:
E	-8.00	eV per atom
calculated volume	107.6	Å³/f.u.
calculated formation energy	-3153	meV/atom

No. 14
DFT (GGA-PBE) results for a geometry-optimized Mg2Ta2TiO8 structure.

a = 10.037 Å, b = 10.037 Å, c = 5.231 Å
α = 90.08°, β = 90.08°, γ = 34.80°
Fractional positions:
Mg: 0.080 0.370 0.239
Mg: 0.370 0.080 0.739
Mg: 0.630 0.920 0.261
Mg: 0.920 0.630 0.761
Ta: 0.230 0.537 0.256
Ta: 0.463 0.770 0.244
Ta: 0.537 0.230 0.756
Ta: 0.770 0.463 0.744
Ti: 0.126 0.874 0.750
Ti: 0.874 0.126 0.250
O: 0.044 0.340 0.871
O: 0.073 0.811 0.410
O: 0.189 0.927 0.090
O: 0.214 0.416 0.557
O: 0.308 0.551 0.919
O: 0.340 0.044 0.371
O: 0.416 0.214 0.057
O: 0.449 0.692 0.581
O: 0.551 0.308 0.419
O: 0.584 0.786 0.943
O: 0.660 0.956 0.629
O: 0.692 0.449 0.081
O: 0.786 0.584 0.443
O: 0.811 0.073 0.910
O: 0.927 0.189 0.590
O: 0.956 0.660 0.129

Values from the calculation:
E	-8.46	eV per atom
calculated volume	150.4	Å³/f.u.
calculated formation energy	-3156	meV/atom

No. 15
DFT (GGA-PBE) results for a geometry-optimized MgTe2O7 structure.

a = 6.847 Å, b = 6.607 Å, c = 7.859 Å
α = 90.00°, β = 112.02°, γ = 90.00°
Fractional positions:
Mg: 0.061 0.000 0.147
Mg: 0.939 0.500 0.853
Te: 0.075 0.507 0.320
Te: 0.417 0.584 0.771
Te: 0.583 0.084 0.229
Te: 0.925 0.007 0.680
O: 0.033 0.658 0.107
O: 0.147 0.995 0.611
O: 0.177 0.265 0.274
O: 0.178 0.457 0.768
O: 0.319 0.637 0.500
O: 0.364 0.914 0.208
O: 0.488 0.812 0.906
O: 0.512 0.312 0.094
O: 0.636 0.414 0.792
O: 0.681 0.137 0.500
O: 0.822 0.957 0.232
O: 0.823 0.765 0.726
O: 0.853 0.495 0.389
O: 0.967 0.158 0.893

Values from the calculation:
E	-5.27	eV per atom
calculated volume	164.8	Å³/f.u.
calculated formation energy	-1495	meV/atom

No. 16
DFT (GGA-PBE) results for a geometry-optimized MgTeO4 structure.

a = 4.757 Å, b = 5.667 Å, c = 5.107 Å
α = 90.00°, β = 93.50°, γ = 90.00°
Fractional positions:
Mg: 0.000 0.155 0.250
Mg: 0.000 0.845 0.750
Te: 0.500 0.334 0.750
Te: 0.500 0.666 0.250
O: 0.240 0.121 0.595
O: 0.240 0.879 0.095
O: 0.281 0.396 0.065
O: 0.281 0.604 0.565
O: 0.719 0.396 0.435
O: 0.719 0.604 0.935
O: 0.760 0.121 0.905
O: 0.760 0.879 0.405

Values from the calculation:
E	-5.69	eV per atom
calculated volume	68.7	Å³/f.u.
calculated formation energy	-2062	meV/atom